PtC4S2Br2O2 | GGA-PBE | relaxed

Output
**Energy above the lowest structure with this stoichiometry**: 0 meV/atom
**E_form**: 0.22 eV/atom
**Corrected total energy (MP2020 scheme)**: -5.638 eV per atom
**ρ**: 2.10 Mg/m³

abc: 10.018 10.926 16.502
angles: 71.61 88.75 68.05
Space group P-1 (No. 2)
Inequivalent atoms, fractional coordinates:
1 Pt 0.043 0.299 0.490 x2
2 Pt 0.435 0.255 0.970 x2
3 C 0.042 0.298 0.302 x2
4 C 0.235 0.801 0.931 x2
5 C 0.244 0.642 0.173 x2
6 C 0.261 0.578 0.624 x2
7 C 0.268 0.697 0.096 x2
8 C 0.328 0.488 0.693 x2
9 C 0.378 0.942 0.430 x2
10 C 0.408 0.291 0.855 x2
11 S 0.076 0.397 0.345 x2
12 S 0.182 0.696 0.531 x2
13 S 0.311 0.813 0.025 x2
14 S 0.454 0.405 0.775 x2
15 Br 0.023 0.196 0.642 x2
16 Br 0.242 0.339 0.051 x2
17 Br 0.269 0.313 0.528 x2
18 Br 0.354 0.795 0.843 x2
19 O 0.018 0.231 0.266 x2
20 O 0.225 0.584 0.243 x2
21 O 0.233 0.961 0.015 x2
22 O 0.359 0.961 0.495 x2